(1)
Below is an optimized crystal structure of HoPO4, with properties calculated at the r2SCAN level.

Unit cell a=5.6955 b=5.6955 c=5.6955 alpha=106.11 beta=106.11 gamma=116.42
Closest atoms and distances in Å follow each position.
Atoms (fractional coordinates):
Ho  0.1250  0.8750  0.2500  8 O 2.29-2.37
Ho  0.8750  0.1250  0.7500  8 O 2.29-2.37
P  0.3750  0.6250  0.7500  4 O 1.54
P  0.6250  0.3750  0.2500  4 O 1.54
O  0.7848  0.3593  0.0745  1 P 1.54
O  0.7103  0.7848  0.9255  1 P 1.54
O  0.3593  0.7848  0.5745  1 P 1.54
O  0.7848  0.7103  0.4255  1 P 1.54
O  0.2897  0.2152  0.0745  1 P 1.54
O  0.2152  0.6407  0.9255  1 P 1.54
O  0.2152  0.2897  0.5745  1 P 1.54
O  0.6407  0.2152  0.4255  1 P 1.54

Calculated values
- Raw total energy: -14.311 eV per atom
- Density: 6.1 g/cm³
- SG: I4_1/amd
- DFT formation energy: -3348.9 meV per atom

---

(2)
Below is an optimized crystal structure of HoP5O14, with properties calculated at the r2SCAN level.

Unit cell a=9.0418 b=9.0418 c=12.3828 alpha=89.14 beta=89.14 gamma=89.57
Closest atoms and distances in Å follow each position.
Atoms (fractional coordinates):
Ho  0.4799  0.5201  0.2500  8 O 2.30-2.34
Ho  0.5201  0.4799  0.7500  8 O 2.30-2.34
Ho  0.0312  0.9688  0.2500  8 O 2.25-2.38
Ho  0.9688  0.0312  0.7500  8 O 2.25-2.38
P  0.6119  0.6805  0.5017  4 O 1.46-1.64
P  0.3195  0.3881  0.9983  4 O 1.46-1.64
P  0.3881  0.3195  0.4983  4 O 1.46-1.64
P  0.6805  0.6119  0.0017  4 O 1.46-1.64
P  0.5183  0.1824  0.1025  4 O 1.46-1.56
P  0.8176  0.4817  0.3975  4 O 1.46-1.56
P  0.4817  0.8176  0.8975  4 O 1.46-1.56
P  0.1824  0.5183  0.6025  4 O 1.46-1.56
P  0.8240  0.1253  0.0333  4 O 1.46-1.63
P  0.8747  0.1760  0.4667  4 O 1.46-1.63
P  0.1760  0.8747  0.9667  4 O 1.46-1.63
P  0.1253  0.8240  0.5333  4 O 1.46-1.63
P  0.6814  0.9544  0.3910  4 O 1.46-1.57
P  0.0456  0.3186  0.1090  4 O 1.46-1.57
P  0.3186  0.0456  0.6090  4 O 1.46-1.57
P  0.9544  0.6814  0.8910  4 O 1.46-1.57
P  0.4276  0.9251  0.2402  4 O 1.47-1.62
P  0.0749  0.5724  0.2598  4 O 1.47-1.62
P  0.5724  0.0749  0.7598  4 O 1.47-1.62
P  0.9251  0.4276  0.7402  4 O 1.47-1.62
O  0.5747  0.6515  0.6154  1 P 1.46
O  0.3485  0.4253  0.8846  1 P 1.46
O  0.4253  0.3485  0.3846  1 P 1.46
O  0.6515  0.5747  0.1154  1 P 1.46
O  0.5113  0.6423  0.4136  1 P 1.48
O  0.3577  0.4887  0.0864  1 P 1.48
O  0.4887  0.3577  0.5864  1 P 1.48
O  0.6423  0.5113  0.9136  1 P 1.48
O  0.5387  0.2825  0.1921  1 P 1.46
O  0.7175  0.4613  0.3079  1 P 1.46
O  0.4613  0.7175  0.8079  1 P 1.46
O  0.2825  0.5387  0.6921  1 P 1.46
O  0.8739  0.0751  0.9268  1 P 1.46
O  0.9249  0.1261  0.5732  1 P 1.46
O  0.1261  0.9249  0.0732  1 P 1.46
O  0.0751  0.8739  0.4268  1 P 1.46
O  0.8425  0.0351  0.1328  1 P 1.48
O  0.9649  0.1575  0.3672  1 P 1.48
O  0.1575  0.9649  0.8672  1 P 1.48
O  0.2781  0.9765  0.2696  1 P 1.47
O  0.0351  0.8425  0.6328  1 P 1.48
O  0.1052  0.2008  0.1778  1 P 1.46
O  0.2008  0.1052  0.6778  1 P 1.46
O  0.8948  0.7992  0.8222  1 P 1.46
O  0.9839  0.5310  0.8352  2 P 1.55-1.61
O  0.4690  0.0161  0.6648  2 P 1.55-1.61
O  0.0161  0.4690  0.1648  2 P 1.55-1.61
O  0.5310  0.9839  0.3352  2 P 1.55-1.61
O  0.0185  0.4901  0.6366  2 P 1.56-1.62
O  0.5099  0.9815  0.8634  2 P 1.56-1.62
O  0.9815  0.5099  0.3634  2 P 1.56-1.62
O  0.4901  0.0185  0.1366  2 P 1.56-1.62
O  0.2883  0.8930  0.5562  2 P 1.56-1.63
O  0.1070  0.7117  0.9438  2 P 1.56-1.63
O  0.7117  0.1070  0.4438  2 P 1.56-1.63
O  0.8930  0.2883  0.0562  2 P 1.56-1.63
O  0.8545  0.6475  0.9927  2 P 1.57-1.61
O  0.3525  0.1455  0.5073  2 P 1.57-1.61
O  0.1455  0.3525  0.0073  2 P 1.57-1.61
O  0.6475  0.8545  0.4927  2 P 1.57-1.61
O  0.1721  0.6530  0.5222  2 P 1.56-1.61
O  0.3470  0.8279  0.9778  2 P 1.56-1.61
O  0.8279  0.3470  0.4778  2 P 1.56-1.61
O  0.6530  0.1721  0.0222  2 P 1.56-1.61
O  0.6119  0.7759  0.9742  2 P 1.56-1.64
O  0.2241  0.3881  0.5258  2 P 1.56-1.64
O  0.3881  0.2241  0.0258  2 P 1.56-1.64
O  0.7759  0.6119  0.4742  2 P 1.56-1.64
O  0.7697  0.4592  0.7154  1 P 1.47
O  0.5408  0.2303  0.7846  1 P 1.47
O  0.2303  0.5408  0.2846  1 P 1.47
O  0.4592  0.7697  0.2154  1 P 1.47
O  0.9765  0.2781  0.7696  1 P 1.47
O  0.7219  0.0235  0.7304  1 P 1.47
O  0.0235  0.7219  0.2304  1 P 1.47
O  0.7992  0.8948  0.3222  1 P 1.46

Calculated values
- Raw total energy: -10.649 eV per atom
- Density: 3.6 g/cm³
- SG: C2/c
- DFT formation energy: -2573.7 meV per atom

---

(3)
Below is an optimized crystal structure of Ho2Pb2O7, with properties calculated at the r2SCAN level.

Unit cell a=7.5159 b=7.5159 c=7.5159 alpha=60.00 beta=60.00 gamma=60.00
Closest atoms and distances in Å follow each position.
Atoms (fractional coordinates):
Ho  0.1250  0.1250  0.6250  8 O 2.30-2.47
Ho  0.1250  0.6250  0.1250  8 O 2.30-2.47
Ho  0.6250  0.1250  0.1250  8 O 2.30-2.47
Ho  0.1250  0.1250  0.1250  8 O 2.30-2.47
Pb  0.1250  0.6250  0.6250  6 O 2.15
Pb  0.6250  0.6250  0.6250  6 O 2.15
Pb  0.6250  0.1250  0.6250  6 O 2.15
Pb  0.6250  0.6250  0.1250  6 O 2.15
O  0.2758  0.7242  0.7242  2 Pb 2.15
O  0.5258  0.9742  0.9742  2 Pb 2.15
O  0.2758  0.7242  0.2758  2 Pb 2.15
O  0.7242  0.2758  0.7242  2 Pb 2.15
O  0.7242  0.7242  0.2758  2 Pb 2.15
O  0.0000  0.0000  0.0000  4 Ho 2.30
O  0.2758  0.2758  0.7242  2 Pb 2.15
O  0.9742  0.5258  0.9742  2 Pb 2.15
O  0.2500  0.2500  0.2500  4 Ho 2.30
O  0.5258  0.5258  0.9742  2 Pb 2.15
O  0.9742  0.9742  0.5258  2 Pb 2.15
O  0.5258  0.9742  0.5258  2 Pb 2.15
O  0.7242  0.2758  0.2758  2 Pb 2.15
O  0.9742  0.5258  0.5258  2 Pb 2.15

Calculated values
- Raw total energy: -22.354 eV per atom
- Density: 9.5 g/cm³
- SG: Fd-3m
- DFT formation energy: -2341.3 meV per atom

---

(4)
Below is an optimized crystal structure of RbHoO2, with properties calculated at the r2SCAN level.

Unit cell a=6.8046 b=6.8046 c=6.8046 alpha=29.42 beta=29.42 gamma=29.42
Closest atoms and distances in Å follow each position.
Atoms (fractional coordinates):
Rb  0.0000  0.0000  0.0000  6 O 2.91
Ho  0.5000  0.5000  0.5000  6 O 2.30
O  0.7750  0.7750  0.7750  3 Ho 2.30
O  0.2250  0.2250  0.2250  3 Ho 2.30

Calculated values
- Raw total energy: -17.694 eV per atom
- Density: 7.0 g/cm³
- SG: R-3m
- DFT formation energy: -3004.3 meV per atom